Record 1
First-principles (PBE) data for TiO2 after structural relaxation, as listed in Materials Project.

## Properties
Total energy after the MP2020 corrections = -9.37 eV per atom
Energy relative to the elements = -3.44 eV/atom

a = 4.855 Å, b = 4.914 Å, c = 5.093 Å
α = 90.00°, β = 100.12°, γ = 90.00°
Sites, in units of the cell vectors:
Ti1 0.223 0.056 0.284
Ti2 0.223 0.444 0.784
Ti3 0.777 0.556 0.216
Ti4 0.777 0.944 0.716
O1 0.052 0.742 0.538
O2 0.052 0.758 0.038
O3 0.437 0.177 0.647
O4 0.437 0.323 0.147
O5 0.563 0.677 0.853
O6 0.563 0.823 0.353
O7 0.948 0.242 0.962
O8 0.948 0.258 0.462



Record 2
First-principles (PBE) data for Ti2O3 after structural relaxation, as listed in Materials Project.

## Properties
Total energy after the MP2020 corrections = -9.30 eV per atom
Energy relative to the elements = -3.17 eV/atom

a = 5.113 Å, b = 5.113 Å, c = 16.089 Å
α = 90.00°, β = 90.00°, γ = 146.90°
Sites, in units of the cell vectors:
Ti1 0.104 0.896 0.643
Ti2 0.104 0.896 0.857
Ti3 0.356 0.644 0.541
Ti4 0.356 0.644 0.959
Ti5 0.644 0.356 0.041
Ti6 0.644 0.356 0.459
Ti7 0.896 0.104 0.143
Ti8 0.896 0.104 0.357
O1 0.000 0.000 0.000
O2 0.000 0.000 0.500
O3 0.161 0.839 0.750
O4 0.277 0.723 0.087
O5 0.277 0.723 0.413
O6 0.470 0.530 0.643
O7 0.470 0.530 0.857
O8 0.530 0.470 0.143
O9 0.530 0.470 0.357
O10 0.723 0.277 0.587
O11 0.723 0.277 0.913
O12 0.839 0.161 0.250



> Look up the total energy after the MP2020 corrections of the first one.

-9.37 eV per atom